(1)
# NaHo9Si6O26 (PBE-GGA, optimized geometry)
# Crystal system: trigonal
# VASP energy: -8.12 eV/atom
# Calculated density: 6.7 g cm⁻³
# Size of the total moment: 0.00 μB/cell
data_NaHo9Si6O26
_cell_length_a 9.4175
_cell_length_b 9.4175
_cell_length_c 6.7718
_cell_angle_alpha 90.00
_cell_angle_beta 90.00
_cell_angle_gamma 120.00
_space_group_name_H-M_alt 'P 3'
_space_group_IT_number 143
loop_
_space_group_symop_operation_xyz
'x,y,z'
'-y,x-y,z'
'-x+y,-x,z'
loop_
_atom_site_label
_atom_site_type_symbol
_atom_site_fract_x
_atom_site_fract_y
_atom_site_fract_z
_atom_site_occupancy
Na1 Na 0.0000 0.0000 0.0000 1
Ho1 Ho 0.0000 0.0000 0.4935 1
Ho2 Ho 0.0993 0.4303 0.2457 1
Ho3 Ho 0.1010 0.6694 0.7474 1
Ho4 Ho 0.6667 0.3333 0.4988 1
Ho5 Ho 0.6667 0.3333 0.9949 1
Si1 Si 0.3047 0.0397 0.7469 1
Si2 Si 0.3594 0.2953 0.2490 1
O1 O 0.0188 0.8364 0.2581 1
O2 O 0.0852 0.3307 0.5551 1
O3 O 0.0877 0.3396 0.9341 1
O4 O 0.2103 0.1446 0.7329 1
O5 O 0.3333 0.6667 0.2458 1
O6 O 0.3333 0.6667 0.7429 1
O7 O 0.4255 0.4175 0.0547 1
O8 O 0.4313 0.4224 0.4389 1
O9 O 0.4648 0.1969 0.2464 1
O10 O 0.5051 0.1614 0.7476 1

(2)
# Nd2Co7 (PBE-GGA, optimized geometry)
# Crystal system: trigonal
# VASP energy: -6.61 eV/atom
# Calculated density: 8.9 g cm⁻³
# Size of the total moment: 43.70 μB/cell
data_Nd2Co7
_cell_length_a 4.9790
_cell_length_b 4.9790
_cell_length_c 36.4462
_cell_angle_alpha 90.00
_cell_angle_beta 90.00
_cell_angle_gamma 120.00
_space_group_name_H-M_alt 'R -3 m'
_space_group_IT_number 166
_space_group_name_Hall '-R 3 2"'
loop_
_atom_site_label
_atom_site_type_symbol
_atom_site_fract_x
_atom_site_fract_y
_atom_site_fract_z
_atom_site_occupancy
Nd1 Nd 0.0000 0.0000 0.0515 1
Nd2 Nd 0.0000 0.0000 0.1483 1
Co1 Co 0.0000 0.0000 0.2786 1
Co2 Co 0.0000 0.0000 0.3877 1
Co3 Co 0.0000 0.0000 0.5000 1
Co4 Co 0.0000 0.5000 0.0000 1
Co5 Co 0.0036 0.5018 0.1078 1

(3)
# CsTaSe3 (PBE-GGA, optimized geometry)
# Crystal system: hexagonal
# VASP energy: -5.63 eV/atom
# Calculated density: 5.6 g cm⁻³
data_CsTaSe3
_cell_length_a 7.7947
_cell_length_b 7.7947
_cell_length_c 6.1802
_cell_angle_alpha 90.00
_cell_angle_beta 90.00
_cell_angle_gamma 120.00
_space_group_name_H-M_alt 'P 63 m c'
_space_group_IT_number 186
_space_group_name_Hall 'P 6c -2c'
loop_
_atom_site_label
_atom_site_type_symbol
_atom_site_fract_x
_atom_site_fract_y
_atom_site_fract_z
_atom_site_occupancy
Cs1 Cs 0.3333 0.6667 0.0000 1
Ta1 Ta 0.0000 0.0000 0.2049 1
Se1 Se 0.1568 0.3136 0.4981 1

(4)
# BaC2O4 (PBE-GGA, optimized geometry)
# Crystal system: triclinic
# VASP energy: -7.56 eV/atom
# Calculated density: 3.6 g cm⁻³
# Size of the total moment: 0.00 μB/cell
data_BaC2O4
_cell_length_a 5.015
_cell_length_b 8.946
_cell_length_c 9.569
_cell_angle_alpha 88.06
_cell_angle_beta 78.79
_cell_angle_gamma 85.44
_space_group_name_H-M_alt 'P -1'
_space_group_IT_number 2
loop_
_space_group_symop_operation_xyz
'x,y,z'
'-x,-y,-z'
loop_
_atom_site_label
_atom_site_type_symbol
_atom_site_fract_x
_atom_site_fract_y
_atom_site_fract_z
_atom_site_occupancy
Ba1 Ba 0.020 0.079 0.264 1
Ba2 Ba 0.040 0.573 0.255 1
C1 C 0.371 0.310 0.989 1
C2 C 0.401 0.816 0.994 1
C3 C 0.434 0.304 0.441 1
C4 C 0.481 0.181 0.558 1
O1 O 0.159 0.320 0.087 1
O2 O 0.187 0.357 0.449 1
O3 O 0.199 0.830 0.097 1
O4 O 0.284 0.168 0.662 1
O5 O 0.291 0.895 0.460 1
O6 O 0.364 0.659 0.650 1
O7 O 0.412 0.394 0.879 1
O8 O 0.431 0.893 0.879 1

For reference, formation energy from the elements by record: -3694 -24 -1264 -2216 meV per atom.